# 1
Below is crystalline Ba19Li44 at its relaxed geometry, with properties calculated at the PBE level.

Summary:
SG: I-42d (122)
Crystal system: tetragonal

Cell lengths 19.7645, 19.7645, 19.7645 Å; angles 131.53, 131.53, 70.98 degrees
Positions (direct):
1 Ba 0.0000 0.0000 0.0000
2 Ba 0.0344 0.3499 0.4849
3 Ba 0.0595 0.7465 0.3044
4 Ba 0.0695 0.0761 0.2951
5 Ba 0.0999 0.2844 0.9849
6 Ba 0.1440 0.6601 0.7088
7 Ba 0.1542 0.6542 0.5000
8 Ba 0.1851 0.2013 0.7912
9 Ba 0.2256 0.9305 0.0066
10 Ba 0.2449 0.9405 0.6870
11 Ba 0.2535 0.5579 0.3130
12 Ba 0.2995 0.1150 0.0151
13 Ba 0.3079 0.5035 0.8130
14 Ba 0.3399 0.0487 0.4838
15 Ba 0.3458 0.8458 0.5000
16 Ba 0.4042 0.4042 0.0000
17 Ba 0.4101 0.3940 0.2088
18 Ba 0.4421 0.7551 0.6956
19 Ba 0.4505 0.9656 0.3155
20 Ba 0.4965 0.3095 0.8044
21 Ba 0.5051 0.6921 0.1956
22 Ba 0.5244 0.0310 0.2049
23 Ba 0.5649 0.8560 0.5162
24 Ba 0.5958 0.5958 0.0000
25 Ba 0.6060 0.8149 0.0162
26 Ba 0.6501 0.1350 0.6845
27 Ba 0.6805 0.4756 0.5066
28 Ba 0.6905 0.4949 0.1870
29 Ba 0.7156 0.7005 0.8155
30 Ba 0.7500 0.2500 0.5000
31 Ba 0.7810 0.7744 0.7049
32 Ba 0.7987 0.5899 0.9838
33 Ba 0.8261 0.3195 0.7951
34 Ba 0.8650 0.5495 0.5151
35 Ba 0.8850 0.9001 0.1845
36 Ba 0.9239 0.2190 0.9934
37 Ba 0.9513 0.4351 0.2912
38 Ba 0.9690 0.1739 0.4934
39 Li 0.9998 0.3450 0.7806
40 Li 0.0287 0.5142 0.0243
41 Li 0.0415 0.0316 0.8596
42 Li 0.0438 0.7562 0.8679
43 Li 0.0449 0.0212 0.7016
44 Li 0.0574 0.5303 0.8998
45 Li 0.0933 0.5696 0.7984
46 Li 0.0950 0.2498 0.2806
47 Li 0.1119 0.8664 0.7175
48 Li 0.1195 0.7197 0.0271
49 Li 0.1336 0.8512 0.2455
50 Li 0.1443 0.3988 0.7825
51 Li 0.1488 0.3943 0.2825
52 Li 0.1543 0.0122 0.4911
53 Li 0.1720 0.1819 0.1404
54 Li 0.1861 0.6597 0.1657
55 Li 0.1856 0.9050 0.1548
56 Li 0.2034 0.4574 0.0228
57 Li 0.2074 0.4534 0.5228
58 Li 0.2289 0.2378 0.6421
59 Li 0.2438 0.1117 0.2876
60 Li 0.2561 0.5903 0.0265
61 Li 0.2601 0.7358 0.0145
62 Li 0.2642 0.2787 0.5243
63 Li 0.2803 0.3074 0.3998
64 Li 0.3154 0.7926 0.2460
65 Li 0.3196 0.3433 0.2984
66 Li 0.3368 0.8457 0.8579
67 Li 0.3403 0.5061 0.5265
68 Li 0.3648 0.1250 0.7398
69 Li 0.3750 0.1711 0.2961
70 Li 0.3750 0.6352 0.7602
71 Li 0.3852 0.6250 0.2602
72 Li 0.4097 0.4361 0.6657
73 Li 0.4132 0.7711 0.0089
74 Li 0.4304 0.2288 0.5237
75 Li 0.4346 0.1806 0.9772
76 Li 0.4697 0.3695 0.5271
77 Li 0.4858 0.5101 0.5145
78 Li 0.4899 0.0044 0.9757
79 Li 0.4939 0.0204 0.8343
80 Li 0.5062 0.2938 0.3679
81 Li 0.5211 0.6632 0.5089
82 Li 0.5426 0.5654 0.7460
83 Li 0.5466 0.0694 0.7540
84 Li 0.5644 0.2192 0.2194
85 Li 0.5639 0.2296 0.9735
86 Li 0.5780 0.2184 0.5099
87 Li 0.5957 0.5868 0.3579
88 Li 0.6012 0.3836 0.7455
89 Li 0.6057 0.8881 0.7545
90 Li 0.6164 0.3619 0.2175
91 Li 0.6305 0.1576 0.1002
92 Li 0.6381 0.8557 0.2545
93 Li 0.6550 0.4356 0.6548
94 Li 0.6567 0.9551 0.9763
95 Li 0.6926 0.0924 0.9729
96 Li 0.7051 0.9067 0.4763
97 Li 0.7062 0.0741 0.2124
98 Li 0.7085 0.0681 0.4901
99 Li 0.7213 0.2456 0.9855
100 Li 0.7502 0.0308 0.8452
101 Li 0.7544 0.7399 0.4757
102 Li 0.7622 0.4043 0.9911
103 Li 0.7704 0.7439 0.3343
104 Li 0.7712 0.2949 0.2016
105 Li 0.7808 0.0002 0.3452
106 Li 0.7816 0.2915 0.3596
107 Li 0.8181 0.9585 0.9901
108 Li 0.8194 0.7966 0.2540
109 Li 0.8241 0.9562 0.7124
110 Li 0.8289 0.1250 0.2039
111 Li 0.8424 0.9426 0.4729
112 Li 0.8617 0.4938 0.7876
113 Li 0.8750 0.0789 0.7039
114 Li 0.8750 0.6148 0.2398
115 Li 0.8883 0.1759 0.1321
116 Li 0.9076 0.8805 0.6002
117 Li 0.9211 0.6250 0.7961
118 Li 0.9259 0.1383 0.6321
119 Li 0.9306 0.6846 0.4772
120 Li 0.9319 0.4220 0.6404
121 Li 0.9684 0.8280 0.0099
122 Li 0.9692 0.8144 0.7194
123 Li 0.9788 0.6804 0.0237
124 Li 0.9796 0.8139 0.4735
125 Li 0.9878 0.4789 0.1421
126 Li 0.9956 0.9713 0.4855

=====

# 2
Below is crystalline NiS2 at its relaxed geometry, with properties calculated at the PBE level.

Summary:
SG: Pa-3 (205)
Crystal system: cubic

Cell lengths 5.6062, 5.6062, 5.6062 Å; angles 90.00, 90.00, 90.00 degrees
Positions (direct):
1 Ni 0.0000 0.0000 0.0000
2 Ni 0.0000 0.5000 0.5000
3 Ni 0.5000 0.0000 0.5000
4 Ni 0.5000 0.5000 0.0000
5 S 0.1064 0.6064 0.8936
6 S 0.1064 0.8936 0.3936
7 S 0.3936 0.1064 0.8936
8 S 0.3936 0.3936 0.3936
9 S 0.6064 0.6064 0.6064
10 S 0.6064 0.8936 0.1064
11 S 0.8936 0.1064 0.6064
12 S 0.8936 0.3936 0.1064

=====

# 3
Below is crystalline MgMoW2Se4S2 at its relaxed geometry, with properties calculated at the PBE level.

Summary:
Polymorph energy (0 for the lowest one), eV/atom: 0.007
SG: P3m1 (156)
Crystal system: trigonal

Cell lengths 3.2707, 3.2707, 38.1387 Å; angles 90.00, 90.00, 120.00 degrees
Positions (direct):
1 Mg 0.0000 0.0000 0.0000
2 Mo 0.6667 0.3333 0.8798
3 W 0.3333 0.6667 0.1288
4 W 0.3333 0.6667 0.6566
5 Se 0.3333 0.6667 0.8354
6 Se 0.3333 0.6667 0.9246
7 Se 0.6667 0.3333 0.0838
8 Se 0.6667 0.3333 0.1734
9 S 0.6667 0.3333 0.6161
10 S 0.6667 0.3333 0.6971

=====

# 4
Below is crystalline Er3Co11B4 at its relaxed geometry, with properties calculated at the PBE level.

Summary:
SG: P6/mmm (191)
Crystal system: hexagonal

Cell lengths 4.9976, 4.9976, 9.7431 Å; angles 90.00, 90.00, 120.00 degrees
Positions (direct):
1 Er 0.0000 0.0000 0.0000
2 Er 0.0000 0.0000 0.3423
3 Er 0.0000 0.0000 0.6577
4 Co 0.0000 0.5000 0.2016
5 Co 0.0000 0.5000 0.5000
6 Co 0.0000 0.5000 0.7984
7 Co 0.3333 0.6667 0.0000
8 Co 0.5000 0.0000 0.2016
9 Co 0.5000 0.0000 0.5000
10 Co 0.5000 0.0000 0.7984
11 Co 0.5000 0.5000 0.2016
12 Co 0.5000 0.5000 0.5000
13 Co 0.5000 0.5000 0.7984
14 Co 0.6667 0.3333 0.0000
15 B 0.3333 0.6667 0.3497
16 B 0.3333 0.6667 0.6503
17 B 0.6667 0.3333 0.3497
18 B 0.6667 0.3333 0.6503

=====

# 5
Below is crystalline MnCoS at its relaxed geometry, with properties calculated at the PBE level.

Summary:
SG: F-43m (216)
Crystal system: cubic

Cell lengths 3.8467, 3.8467, 3.8467 Å; angles 60.00, 60.00, 60.00 degrees
Positions (direct):
1 Mn 0.0000 0.0000 0.0000
2 Co 0.7500 0.7500 0.7500
3 S 0.5000 0.5000 0.5000

=====

# 6
Below is crystalline ZrB at its relaxed geometry, with properties calculated at the PBE level.

Summary:
SG: P-6m2 (187)
Crystal system: hexagonal

Cell lengths 3.6125, 3.6125, 5.2406 Å; angles 90.00, 90.00, 120.00 degrees
Positions (direct):
1 Zr 0.0000 0.0000 0.0000
2 Zr 0.3333 0.6667 0.5000
3 B 0.6667 0.3333 0.2674
4 B 0.6667 0.3333 0.7326

=====

Summary of energy relative to the elements in eV per atom
0.0062, -0.5770, -0.6606, -0.3868, -0.2207, -0.4094
(order as listed above)